A relaxed structure of Li9Mn2Co5O16, computed with PBE with a Hubbard U. Values from VASP.

Cell and atoms, written as Quantum ESPRESSO input:
```
&SYSTEM
  ibrav = 0, nat = 32, ntyp = 4
/
ATOMIC_SPECIES
Li 6.94 Li.upf
Mn 54.94 Mn.upf
Co 58.93 Co.upf
O 16.00 O.upf
CELL_PARAMETERS angstrom
5.184 0.000 0.000
0.000 11.335 0.000
-1.994 0.000 4.816
ATOMIC_POSITIONS crystal
Li 0.000 0.000 0.000
Li 0.000 0.120 0.500
Li 0.000 0.243 0.000
Li 0.000 0.372 0.500
Li 0.000 0.494 0.000
Li 0.000 0.622 0.500
Li 0.000 0.750 0.000
Li 0.000 0.872 0.500
Li 0.500 0.122 0.000
Mn 0.500 0.246 0.500
Mn 0.500 0.622 0.000
Co 0.500 0.370 0.000
Co 0.500 0.497 0.500
Co 0.500 0.749 0.500
Co 0.500 0.875 0.000
Co 0.500 0.997 0.500
O 0.263 0.120 0.282
O 0.267 0.371 0.271
O 0.269 0.874 0.277
O 0.270 0.623 0.281
O 0.271 0.495 0.769
O 0.271 0.750 0.771
O 0.289 0.252 0.743
O 0.295 0.990 0.740
O 0.705 0.990 0.260
O 0.711 0.252 0.257
O 0.729 0.495 0.231
O 0.729 0.750 0.229
O 0.730 0.623 0.719
O 0.731 0.874 0.723
O 0.733 0.371 0.729
O 0.737 0.120 0.718
```

Properties
Its total DFT energy (no corrections) is -5.782 eV/atom. Its polymorph energy (0 for the lowest one) is 0.072 eV per atom. For the density, the calculation gives 4.24 g cm⁻³.